[1]
Density functional theory data (GGA+U) for a relaxed Li4Cr5Fe3O16 crystal.

Formation energy: -2.03 eV/atom
Magnetization: 0.93 μB per atom

a = 10.2147 Å, b = 5.8769 Å, c = 9.5177 Å
α = 90.00°, β = 91.09°, γ = 90.00°
Space group Cm (No. 8)
One atom of each set of equivalent atoms:
Li 0.0000 0.0000 0.0000
Li 0.0003 0.0000 0.4990
Li 0.1661 0.5000 0.1004
Li 0.3313 0.0000 0.6018
Cr 0.1632 0.5000 0.5127
Cr 0.3301 0.0000 0.0101
Cr 0.3310 0.5000 0.7876
Cr 0.4160 0.2471 0.2852
Fe 0.0846 0.2538 0.7805
Fe 0.1705 0.0000 0.2783
O 0.0179 0.5000 0.6523
O 0.0755 0.2530 0.3921
O 0.1628 0.0000 0.8969
O 0.1668 0.5000 0.8932
O 0.2434 0.2851 0.6555
O 0.2645 0.2253 0.1549
O 0.3345 0.0000 0.3932
O 0.3344 0.5000 0.3868
O 0.4101 0.2572 0.8927
O 0.4774 0.0000 0.1613
O 0.4961 0.5000 0.6850
O 0.4974 0.5000 0.1858

[2]
Density functional theory data (GGA+U) for a relaxed Sr2Ca6FeCo7O20 crystal.

Formation energy: -2.18 eV/atom
Magnetization: 0.78 μB per atom

a = 10.7079 Å, b = 11.1889 Å, c = 17.1813 Å
α = 71.04°, β = 71.85°, γ = 89.95°
Space group P1 (No. 1)
One atom of each set of equivalent atoms:
Sr 0.0000 0.0000 0.0000
Sr 0.0007 0.4918 0.0027
Sr 0.1411 0.6399 0.7168
Sr 0.2498 0.2626 0.0003
Sr 0.4942 0.4983 0.0008
Sr 0.7457 0.7642 0.0029
Sr 0.8864 0.4049 0.7189
Sr 0.8882 0.4000 0.2268
Ca 0.0009 0.4952 0.4986
Ca 0.0040 0.9958 0.4997
Ca 0.1400 0.6370 0.2198
Ca 0.1423 0.1363 0.2215
Ca 0.1457 0.1339 0.7148
Ca 0.2495 0.7668 0.0036
Ca 0.2509 0.2645 0.5001
Ca 0.2510 0.7709 0.4987
Ca 0.3847 0.4082 0.2223
Ca 0.3903 0.9076 0.2210
Ca 0.3913 0.9098 0.7158
Ca 0.3961 0.4067 0.7172
Ca 0.4968 0.9935 0.5000
Ca 0.4976 0.9961 0.0035
Ca 0.5031 0.4919 0.4999
Ca 0.6360 0.6343 0.2225
Ca 0.6379 0.1271 0.2213
Ca 0.6402 0.1393 0.7183
Ca 0.6425 0.6312 0.7149
Ca 0.7458 0.2603 0.0057
Ca 0.7480 0.2681 0.5029
Ca 0.7526 0.7666 0.5000
Ca 0.8877 0.9038 0.2218
Ca 0.8985 0.9153 0.7150
Fe 0.0930 0.7952 0.8613
Fe 0.5859 0.8006 0.8549
Fe 0.8348 0.6132 0.8585
Fe 0.8358 0.1105 0.8587
Co 0.0872 0.7955 0.3612
Co 0.0897 0.2949 0.3607
Co 0.0922 0.2924 0.8548
Co 0.1878 0.4495 0.1196
Co 0.1889 0.9474 0.1176
Co 0.1927 0.9536 0.6070
Co 0.1948 0.4520 0.6057
Co 0.3384 0.1070 0.3593
Co 0.3376 0.6066 0.3620
Co 0.3414 0.6089 0.8572
Co 0.3419 0.1028 0.8575
Co 0.4354 0.7000 0.1155
Co 0.4384 0.1990 0.1150
Co 0.4410 0.2009 0.6081
Co 0.4442 0.7027 0.6050
Co 0.5826 0.2903 0.3636
Co 0.5848 0.2919 0.8628
Co 0.5872 0.7926 0.3621
Co 0.6860 0.4451 0.1166
Co 0.6883 0.9477 0.1132
Co 0.6903 0.9522 0.6098
Co 0.6938 0.4533 0.6039
Co 0.8347 0.1017 0.3647
Co 0.8379 0.6099 0.3607
Co 0.9381 0.1932 0.1192
Co 0.9404 0.6992 0.1155
Co 0.9418 0.2018 0.6076
Co 0.9419 0.7041 0.6069
O 0.0000 0.8066 0.4675
O 0.0011 0.3071 0.4656
O 0.0052 0.7925 0.9749
O 0.0069 0.2868 0.9658
O 0.0140 0.6405 0.8602
O 0.0182 0.1355 0.3608
O 0.0200 0.6341 0.3609
O 0.0207 0.1356 0.8499
O 0.0605 0.3114 0.6169
O 0.0611 0.8246 0.6161
O 0.0622 0.8214 0.1272
O 0.0657 0.0809 0.1097
O 0.0656 0.3163 0.1267
O 0.0759 0.0841 0.5930
O 0.0755 0.5846 0.1018
O 0.0821 0.5791 0.5932
O 0.1051 0.9154 0.7523
O 0.1081 0.9125 0.2557
O 0.1170 0.4073 0.7466
O 0.1191 0.4118 0.2510
O 0.2520 0.9900 0.4648
O 0.2526 0.4878 0.4683
O 0.2587 0.9939 0.9678
O 0.2607 0.5007 0.9675
O 0.2704 0.2674 0.3612
O 0.2697 0.7676 0.3612
O 0.2747 0.2661 0.8518
O 0.2757 0.7728 0.8582
O 0.3101 0.3239 0.1297
O 0.3099 0.3266 0.6187
O 0.3107 0.8193 0.1255
O 0.3134 0.8267 0.6191
O 0.3148 0.5832 0.1024
O 0.3196 0.0719 0.1045
O 0.3247 0.0841 0.5952
O 0.3326 0.5872 0.5935
O 0.3572 0.5992 0.2545
O 0.3596 0.0961 0.7500
O 0.3613 0.0989 0.2523
O 0.3629 0.5954 0.7518
O 0.4966 0.3034 0.4689
O 0.4986 0.8018 0.9696
O 0.4994 0.8038 0.4690
O 0.5024 0.2910 0.9727
O 0.5195 0.1301 0.3608
O 0.5197 0.6321 0.3622
O 0.5238 0.1305 0.8596
O 0.5267 0.6414 0.8503
O 0.5569 0.8190 0.1275
O 0.5578 0.8104 0.6208
O 0.5601 0.3140 0.6222
O 0.5614 0.5812 0.1080
O 0.5646 0.3203 0.1266
O 0.5723 0.0814 0.1021
O 0.5757 0.0781 0.5947
O 0.5764 0.5796 0.5954
O 0.6030 0.9219 0.7456
O 0.6059 0.9068 0.2560
O 0.6078 0.4083 0.2561
O 0.6083 0.4082 0.7553
O 0.7483 0.4896 0.4655
O 0.7482 0.9852 0.4712
O 0.7492 0.9944 0.9711
O 0.7523 0.4899 0.9697
O 0.7598 0.2566 0.3707
O 0.7656 0.2663 0.8665
O 0.7695 0.7697 0.3623
O 0.7692 0.7765 0.8523
O 0.8049 0.8155 0.1289
O 0.8058 0.8318 0.6206
O 0.8108 0.3265 0.6161
O 0.8115 0.5667 0.1077
O 0.8129 0.3092 0.1220
O 0.8161 0.0732 0.1053
O 0.8244 0.5866 0.5923
O 0.8276 0.0895 0.5942
O 0.8524 0.1027 0.7475
O 0.8557 0.0974 0.2556
O 0.8572 0.6052 0.7478
O 0.8588 0.6077 0.2526

[3]
Density functional theory data (GGA+U) for a relaxed Li9Mn2Co5O16 crystal.

Formation energy: -1.85 eV/atom
Relative energy among the computed polymorphs: 16 meV per atom
Magnetization: 0.31 μB per atom

a = 5.8143 Å, b = 5.8863 Å, c = 9.7009 Å
α = 98.82°, β = 90.89°, γ = 119.29°
Space group P1 (No. 1)
One atom of each set of equivalent atoms:
Li 0.0000 0.0000 0.0000
Li 0.0025 0.5027 0.0057
Li 0.1230 0.7476 0.7584
Li 0.2531 0.5012 0.5089
Li 0.3781 0.2512 0.2526
Li 0.5030 0.9988 0.0012
Li 0.6250 0.7485 0.7561
Li 0.7507 0.5018 0.5099
Li 0.8828 0.2557 0.2502
Mn 0.4983 0.4981 0.0067
Mn 0.8848 0.7482 0.2512
Co 0.1234 0.2597 0.7594
Co 0.2623 0.0056 0.5084
Co 0.3776 0.7480 0.2519
Co 0.6378 0.2599 0.7632
Co 0.7540 0.0033 0.5050
O 0.0577 0.0959 0.3776
O 0.0771 0.6418 0.3643
O 0.1818 0.8630 0.1451
O 0.2190 0.4053 0.1291
O 0.3133 0.5991 0.8811
O 0.3247 0.1513 0.8898
O 0.4355 0.3577 0.6330
O 0.4360 0.8848 0.6217
O 0.5580 0.0950 0.3773
O 0.5839 0.6479 0.3688
O 0.6763 0.8481 0.1346
O 0.6927 0.4058 0.1314
O 0.7867 0.6120 0.8875
O 0.8035 0.1271 0.8688
O 0.9315 0.3658 0.6305
O 0.9474 0.9010 0.6285